Crystalline TlFeBr3 at its relaxed geometry, computed with PBE.

Output
As for the energy above the most stable polymorph in this dataset: 0 meV per atom. The calculation puts the formation enthalpy at 0 K at -923 meV/atom. The calculation puts the MP2020-corrected energy at -4.07 eV per atom.

Cell lengths 9.428, 3.985, 15.383 Å; angles 90.00, 90.00, 90.00 degrees
Sites, in units of the cell vectors:
Tl  0.057  0.250  0.173
Tl  0.443  0.750  0.673
Tl  0.557  0.250  0.327
Tl  0.943  0.750  0.827
Fe  0.157  0.750  0.446
Fe  0.343  0.250  0.946
Fe  0.657  0.750  0.054
Fe  0.843  0.250  0.554
Br  0.022  0.750  0.598
Br  0.180  0.750  0.002
Br  0.228  0.250  0.797
Br  0.272  0.750  0.297
Br  0.320  0.250  0.502
Br  0.478  0.250  0.098
Br  0.522  0.750  0.902
Br  0.680  0.750  0.498
Br  0.728  0.250  0.703
Br  0.772  0.750  0.203
Br  0.820  0.250  0.998
Br  0.978  0.250  0.402